First-principles (PBE) data for an optimized crystal structure of SmFe4P12, as listed in the Materials Project database.

```
17
Lattice="-3.8979 -3.8979 3.8979 -3.8979 3.8979 -3.8979 3.8979 -3.8979 -3.8979" Properties=species:S:1:pos:R:3 pbc="T T T"
P -3.8979 -2.7217 -1.1465
P -1.1465 -3.8979 -2.7217
P -5.0443 0.0000 -1.1761
P -3.8979 -2.7217 1.1465
P -2.7514 0.0000 -1.1761
P -1.1761 -2.7514 0.0000
P -2.7217 1.1465 -3.8979
P -2.7217 -1.1465 -3.8979
P 0.0000 -1.1761 -5.0443
P -1.1761 -5.0443 0.0000
P 0.0000 -1.1761 -2.7514
P 1.1465 -3.8979 -2.7217
Fe 1.9489 -1.9489 -1.9489
Fe -1.9489 -1.9489 1.9489
Fe -1.9489 -1.9489 -1.9489
Fe -1.9489 1.9489 -1.9489
Sm 0.0000 0.0000 0.0000
```

## Properties
Formation enthalpy at 0 K, kcal/mol of atoms: -13.72
Spin magnetization, μB/f.u.: 0.001
Calculated total energy, hartree per atom: -0.24573